No. 1
! HfW2 PBE relaxed; values from VASP
&SYSTEM
  ibrav = 0, nat = 3, ntyp = 2
/
ATOMIC_SPECIES
Hf 178.49 Hf.upf
W 183.84 W.upf
ATOMIC_POSITIONS crystal
Hf 0.000 0.000 0.000
W 0.673 0.673 0.347
W 0.327 0.327 0.653
CELL_PARAMETERS angstrom
-1.618 -1.678 1.678
-1.618 1.678 -1.678
1.618 -4.880 -4.880
! total energy: -35.58 eV for the cell shown

***

No. 2
! LiAl4Cd2O8 PBE relaxed; values from VASP
&SYSTEM
  ibrav = 0, nat = 15, ntyp = 4
/
ATOMIC_SPECIES
Li 6.94 Li.upf
Al 26.98 Al.upf
Cd 112.41 Cd.upf
O 16.00 O.upf
ATOMIC_POSITIONS crystal
Li 0.662 0.662 0.088
Al 0.463 0.463 0.028
Al 0.511 0.984 0.502
Al 0.984 0.511 0.502
Al 0.463 0.463 0.547
Cd 0.105 0.105 0.145
Cd 0.921 0.921 0.829
O 0.264 0.264 0.700
O 0.279 0.673 0.274
O 0.673 0.279 0.274
O 0.264 0.264 0.272
O 0.751 0.751 0.284
O 0.719 0.335 0.723
O 0.335 0.719 0.723
O 0.751 0.751 0.714
CELL_PARAMETERS angstrom
-4.656 -4.229 0.110
-4.656 0.110 -4.229
0.000 -4.119 -4.119
! total energy: -90.49 eV for the cell shown
! polymorph energy (0 for the lowest one): 25 meV/atom

***

No. 3
! CaMn2S4 PBE relaxed; values from VASP
&SYSTEM
  ibrav = 0, nat = 14, ntyp = 3
/
ATOMIC_SPECIES
Ca 40.08 Ca.upf
Mn 54.94 Mn.upf
S 32.06 S.upf
ATOMIC_POSITIONS crystal
Ca 0.000 0.000 0.000
Ca 0.250 0.250 0.250
Mn 0.625 0.625 0.625
Mn 0.125 0.625 0.625
Mn 0.625 0.125 0.625
Mn 0.625 0.625 0.125
S 0.857 0.857 0.857
S 0.820 0.393 0.393
S 0.393 0.393 0.820
S 0.393 0.820 0.393
S 0.857 0.857 0.430
S 0.857 0.430 0.857
S 0.393 0.393 0.393
S 0.430 0.857 0.857
CELL_PARAMETERS angstrom
0.000 5.342 5.342
5.342 0.000 5.342
5.342 5.342 0.000
! total energy: -85.60 eV for the cell shown
! polymorph energy (0 for the lowest one): 71 meV/atom